Entry a
Entry from the Materials Project database: an optimized crystal structure of LiCrP3H8O13 (PBE with a Hubbard U).

Output
Total moment (μB per atom): 0.15
SG: No. 2

POSCAR file:
```
LiCrP3H8O13
1.0
-7.5361 0.0000 0.0000
2.6058 8.2732 0.0000
-0.0952 -2.2092 -9.4243
H O P Cr Li
16 26 6 2 2
direct
0.3388 0.7051 0.0334
0.4627 0.0899 0.7719
0.6117 0.9949 0.7528
0.3457 0.2457 0.4731
0.6612 0.2949 0.9666
0.1146 0.8278 0.4568
0.2032 0.8155 0.0493
0.1873 0.6837 0.3716
0.2434 0.1355 0.5834
0.3883 0.0051 0.2472
0.8127 0.3163 0.6284
0.7968 0.1845 0.9507
0.7565 0.8645 0.4166
0.5373 0.9101 0.2281
0.8854 0.1722 0.5432
0.6543 0.7543 0.5269
0.0573 0.0461 0.6446
0.5320 0.7227 0.1201
0.0237 0.1908 0.2277
0.2207 0.7105 0.9898
0.1908 0.9708 0.1703
0.8169 0.6156 0.1038
0.4849 0.9875 0.7141
0.6790 0.6816 0.8887
0.7793 0.2895 0.0102
0.3210 0.3184 0.1113
0.3305 0.3785 0.3738
0.8092 0.0292 0.8297
0.5151 0.0125 0.2859
0.3649 0.1793 0.5402
0.8849 0.5087 0.7603
0.1151 0.4913 0.2397
0.9763 0.8092 0.7723
0.1476 0.0868 0.9093
0.4680 0.2773 0.8799
0.9427 0.9539 0.3554
0.6351 0.8207 0.4598
0.7916 0.2295 0.5393
0.1831 0.3844 0.8962
0.8524 0.9132 0.0907
0.6695 0.6215 0.6262
0.2084 0.7705 0.4607
0.9880 0.0009 0.7797
0.7982 0.6422 0.7506
0.0120 0.9991 0.2203
0.7149 0.7239 0.0585
0.2018 0.3578 0.2494
0.2851 0.2761 0.9415
0.5000 0.0000 0.5000
0.0000 0.5000 0.0000
0.2881 0.6056 0.6914
0.7119 0.3944 0.3086
```


Entry b
Entry from the Materials Project database: an optimized crystal structure of LiCrP3H8O13 (PBE with a Hubbard U).

Output
Total moment (μB per atom): 0.15
SG: No. 2

POSCAR file:
```
LiCrP3H8O13
1.0
-0.9171 5.9695 3.8917
-0.7542 -2.8105 7.1211
9.0751 2.4648 3.2977
P Cr O H Li
6 2 26 16 2
direct
0.6737 0.1947 0.2576
0.5931 0.4593 0.7309
0.3263 0.8053 0.7424
0.2417 0.8058 0.4751
0.4069 0.5407 0.2691
0.7583 0.1942 0.5249
0.8073 0.8186 0.7695
0.1927 0.1814 0.2305
0.9744 0.7448 0.1012
0.3807 0.5889 0.7463
0.5835 0.3468 0.8665
0.0831 0.7099 0.5593
0.2416 0.4398 0.3278
0.2703 0.9833 0.0580
0.4165 0.6532 0.1335
0.4218 0.6612 0.3889
0.8880 0.1456 0.1867
0.1929 0.9653 0.3791
0.2124 0.3702 0.0565
0.1120 0.8544 0.8133
0.5265 0.1228 0.2088
0.9169 0.2901 0.4407
0.8071 0.0347 0.6209
0.7297 0.0167 0.9420
0.8264 0.7148 0.3786
0.7584 0.5602 0.6722
0.0256 0.2552 0.8988
0.5782 0.3388 0.6111
0.1736 0.2852 0.6214
0.6193 0.4111 0.2537
0.3609 0.8626 0.5748
0.7876 0.6298 0.9435
0.4735 0.8772 0.7912
0.6391 0.1374 0.4252
0.9007 0.3403 0.9141
0.6892 0.1384 0.8986
0.1810 0.1831 0.5698
0.6513 0.6282 0.0014
0.0993 0.6597 0.0859
0.0800 0.2606 0.7951
0.3603 0.9804 0.9635
0.8575 0.6647 0.0088
0.3108 0.8616 0.1014
0.9200 0.7394 0.2049
0.8190 0.8169 0.4302
0.6397 0.0196 0.0365
0.3487 0.3718 0.9986
0.1425 0.3353 0.9912
0.6913 0.6945 0.3981
0.3087 0.3055 0.6019
0.0000 0.0000 0.0000
0.0000 0.5000 0.5000
```


Quick one: least stable of them? entry a


Entry a
Entry from the Materials Project database: an optimized crystal structure of Fe5O7F3 (PBE with a Hubbard U).

Output
Total moment (μB per atom): 1.53
SG: No. 6

POSCAR file:
```
Fe5O7F3
1.0
15.2178 0.0000 0.0000
0.0000 4.6569 0.0000
0.0000 0.0033 4.6579
F Fe O
6 10 14
direct
0.2981 0.2065 0.1961
0.0000 0.2871 0.6973
0.7982 0.7067 0.2956
0.7019 0.2065 0.1961
0.2018 0.7067 0.2956
0.5000 0.1952 0.2025
0.0000 0.9714 0.0191
0.1000 0.4928 0.4922
0.5000 0.5136 0.5178
0.8074 0.0143 0.9625
0.9000 0.4928 0.4922
0.3991 0.9802 0.9893
0.6939 0.5106 0.5294
0.3061 0.5106 0.5294
0.1926 0.0143 0.9625
0.6009 0.9802 0.9893
0.0963 0.1846 0.1928
0.2962 0.8203 0.8089
0.0948 0.7918 0.8033
0.9052 0.7918 0.8033
0.0000 0.6715 0.3151
0.5976 0.6964 0.3125
0.5959 0.3041 0.7035
0.8007 0.3201 0.6791
0.9037 0.1846 0.1928
0.1993 0.3201 0.6791
0.4024 0.6964 0.3125
0.7038 0.8203 0.8089
0.4041 0.3041 0.7035
0.5000 0.8045 0.8175
```


Entry b
Entry from the Materials Project database: an optimized crystal structure of Fe5O7F3 (PBE with a Hubbard U).

Output
Total moment (μB per atom): 1.53
SG: No. 6

POSCAR file:
```
Fe5O7F3
1.0
-8.3922 -11.4555 5.4467
3.7871 -1.7743 2.1033
-0.8393 2.4670 3.8954
O Fe F
14 10 6
direct
0.6978 0.1912 0.8109
0.0000 0.3069 0.2901
0.5000 0.1800 0.8000
0.1041 0.8206 0.1884
0.7978 0.3213 0.3218
0.0000 0.7007 0.6905
0.3040 0.7993 0.1983
0.2022 0.3213 0.3218
0.6960 0.7993 0.1983
0.5000 0.7943 0.1845
0.3022 0.1912 0.8109
0.6023 0.6761 0.6837
0.3977 0.6761 0.6837
0.8959 0.8206 0.1884
0.5000 0.5101 0.5149
0.0948 0.5132 0.4727
0.2069 0.0195 0.0378
0.4009 0.9739 0.9787
0.0000 0.9787 0.0103
0.7005 0.4951 0.5057
0.5991 0.9739 0.9787
0.7931 0.0195 0.0378
0.9052 0.5132 0.4727
0.2995 0.4951 0.5057
0.1032 0.2064 0.8015
0.8008 0.7060 0.7034
0.4016 0.2921 0.3020
0.5984 0.2921 0.3020
0.1992 0.7060 0.7034
0.8968 0.2064 0.8015
```


Quick one: least stable of them? entry a